The following is a DFT calculation (GGA-PBE) of a geometry-optimized CdH6S4O16 structure.

a b c (Å): 15.7623 5.5067 9.7100
angles (deg): 74.91 90.00 90.00
Last column: nearest neighbours and their distance in Å.
Atoms (fractional coordinates):
H 0.7306 0.1896 0.5412  1 O 1.01
O 0.3195 0.3710 0.7581  1 H 0.99
O 0.7816 0.8604 0.0447  1 H 1.81
H 0.7694 0.1896 0.0412  1 O 1.01
S 0.8298 0.1389 0.2392  4 O 1.43-1.59
O 0.6805 0.6290 0.2419  1 H 0.99
O 0.7184 0.3068 0.6032  1 H 1.01
S 0.0673 0.4098 0.2204  2 O 1.48-1.49
O 0.4368 0.6900 0.6700  1 S 1.49
H 0.2010 0.4693 0.3229  1 O 0.99
O 0.1805 0.3710 0.2581  1 H 0.99
Cd 0.0000 0.0000 0.0000  6 O 2.27-2.46
O 0.9343 0.7080 0.9006  1 S 1.48
H 0.2314 0.1877 0.2247  1 O 1.08
O 0.5657 0.7080 0.4006  1 S 1.48
O 0.7618 0.9526 0.3186  1 H 1.08
H 0.2694 0.8104 0.4588  1 O 1.01
H 0.7686 0.8123 0.7753  1 O 1.08
O 0.2382 0.0474 0.6814  1 H 1.08
H 0.2990 0.4693 0.8229  1 O 0.99
O 0.4343 0.2920 0.5994  1 S 1.48
H 0.7010 0.5307 0.1771  1 O 0.99
O 0.2618 0.0474 0.1814  1 H 1.08
O 0.0657 0.2920 0.0994  1 S 1.48
O 0.6030 0.0001 0.6903  1 S 1.46
Cd 0.5000 0.0000 0.5000  6 O 2.27-2.46
O 0.7382 0.9526 0.8186  1 H 1.08
O 0.6481 0.2999 0.8274  1 S 1.43
O 0.2184 0.1396 0.9553  1 H 1.81
O 0.2184 0.6932 0.8968  1 H 1.01
S 0.4327 0.4098 0.7204  2 O 1.48-1.49
H 0.7314 0.8123 0.2753  1 O 1.08
O 0.8195 0.6290 0.7419  1 H 0.99
O 0.5632 0.3100 0.3300  1 S 1.49
S 0.5673 0.5902 0.2796  2 O 1.48-1.49
O 0.8970 0.0001 0.1903  1 S 1.46
H 0.2686 0.1877 0.7247  1 O 1.08
O 0.8519 0.2999 0.3274  1 S 1.43
O 0.3970 0.9999 0.3097  1 S 1.46
O 0.0632 0.6900 0.1700  1 S 1.49
O 0.7816 0.3068 0.1032  1 H 1.01
S 0.3298 0.8611 0.2608  4 O 1.43-1.59
O 0.2816 0.6932 0.3968  1 H 1.01
O 0.1481 0.7001 0.6726  1 S 1.43
O 0.2816 0.1396 0.4553  1 H 1.81
S 0.9327 0.5902 0.7796  2 O 1.48-1.49
S 0.6702 0.1389 0.7392  4 O 1.43-1.59
H 0.7990 0.5307 0.6771  1 O 0.99
O 0.3519 0.7001 0.1726  1 S 1.43
O 0.7184 0.8604 0.5447  1 H 1.81
O 0.1030 0.9999 0.8097  1 S 1.46
S 0.1702 0.8611 0.7608  4 O 1.43-1.59
O 0.9368 0.3100 0.8300  1 S 1.49
H 0.2306 0.8104 0.9588  1 O 1.01

Values from the calculation:
energy of formation = -1.204 eV/atom
raw total energy = -277.02 eV for the cell shown